1.
Density functional theory data (PBE+U) for crystalline LiV2F7 at its relaxed geometry.

Cell lengths 5.1071, 7.4944, 13.2484 Å; angles 84.04, 90.00, 90.00 degrees
Element x y z (fractional)
F: 0.4040 0.4159 0.8237
F: 0.5437 0.7579 0.7321
V: 0.2445 0.6653 0.8177
F: 0.5490 0.1954 0.4802
V: 0.2492 0.7723 0.3939
F: 0.0960 0.9159 0.8237
F: 0.5960 0.5841 0.1763
V: 0.7492 0.7277 0.6061
F: 0.6296 0.4774 0.6064
V: 0.7555 0.3347 0.1823
V: 0.7508 0.2277 0.6061
V: 0.2508 0.2723 0.3939
V: 0.7445 0.8347 0.1823
F: 0.5533 0.8544 0.3113
F: 0.4383 0.6944 0.9409
Li: 0.2411 0.1487 0.0730
F: 0.0533 0.6456 0.6887
F: 0.1296 0.0226 0.3936
F: 0.9383 0.8056 0.0591
F: 0.5621 0.0840 0.8923
F: 0.0490 0.3046 0.5198
Li: 0.7589 0.8513 0.9270
F: 0.9379 0.5840 0.8923
V: 0.2555 0.1653 0.8177
F: 0.4510 0.8046 0.5198
F: 0.4467 0.1456 0.6887
F: 0.4379 0.9160 0.1077
F: 0.5617 0.3056 0.0591
F: 0.3704 0.5226 0.3936
F: 0.0621 0.4160 0.1077
F: 0.0617 0.1944 0.9409
F: 0.9510 0.6954 0.4802
Li: 0.7411 0.3513 0.9270
F: 0.9563 0.2579 0.7321
F: 0.9467 0.3544 0.3113
F: 0.9040 0.0841 0.1763
F: 0.8704 0.9774 0.6064
F: 0.0437 0.7421 0.2679
F: 0.4563 0.2421 0.2679
Li: 0.2589 0.6487 0.0730

Summary:
- relative energy among the computed polymorphs (eV/atom) = 0.1187
- symmetry = P2_1/c, No. 14
- calculated total energy (eV per atom) = -5.77
- total magnetization (μB/f.u.) = 4.0



2.
Density functional theory data (PBE+U) for crystalline V3P2O8 at its relaxed geometry.

Cell lengths 9.7422, 8.3154, 8.6943 Å; angles 70.05, 90.00, 90.00 degrees
Element x y z (fractional)
O: 0.8405 0.0554 0.5745
V: 0.8928 0.3044 0.4159
V: 0.6072 0.3044 0.9159
O: 0.4281 0.4552 0.2983
O: 0.7748 0.8123 0.8061
O: 0.9627 0.1420 0.2588
P: 0.0643 0.6477 0.1914
O: 0.5361 0.1582 0.3989
O: 0.5719 0.5448 0.7017
O: 0.7252 0.8123 0.3061
O: 0.0373 0.8580 0.7412
O: 0.6788 0.4059 0.4055
O: 0.1595 0.9446 0.4255
O: 0.2252 0.1877 0.1939
V: 0.3728 0.0003 0.3722
P: 0.4357 0.6477 0.6914
V: 0.8728 0.9997 0.1278
V: 0.7406 0.5912 0.5166
O: 0.9281 0.5448 0.2017
O: 0.2748 0.1877 0.6939
V: 0.7594 0.5912 0.0166
P: 0.5643 0.3523 0.3086
V: 0.6272 0.9997 0.6278
V: 0.1272 0.0003 0.8722
P: 0.8895 0.8714 0.6742
P: 0.1105 0.1286 0.3258
V: 0.1072 0.6956 0.5841
O: 0.6595 0.0554 0.0745
P: 0.9357 0.3523 0.8086
O: 0.8913 0.7518 0.5701
P: 0.3895 0.1286 0.8258
O: 0.8807 0.3833 0.6331
O: 0.4639 0.8418 0.6011
O: 0.0719 0.4552 0.7983
O: 0.8212 0.4059 0.9055
O: 0.1193 0.6167 0.3669
O: 0.3807 0.6167 0.8669
V: 0.2594 0.4088 0.4834
O: 0.6193 0.3833 0.1331
O: 0.0361 0.8418 0.1011
O: 0.6087 0.7518 0.0701
O: 0.1087 0.2482 0.4299
O: 0.3212 0.5941 0.5945
O: 0.5373 0.1420 0.7588
O: 0.1788 0.5941 0.0945
O: 0.4627 0.8580 0.2412
O: 0.3405 0.9446 0.9255
P: 0.6105 0.8714 0.1742
O: 0.9639 0.1582 0.8989
V: 0.3928 0.6956 0.0841
V: 0.2406 0.4088 0.9834
O: 0.3913 0.2482 0.9299

Summary:
- relative energy among the computed polymorphs (eV/atom) = 0.0637
- symmetry = P2_1/c, No. 14
- calculated total energy (eV per atom) = -7.65
- total magnetization (μB/f.u.) = 3.0



3.
Density functional theory data (PBE+U) for crystalline Mn2ZnO4 at its relaxed geometry.

Cell lengths 6.1229, 5.1729, 10.3609 Å; angles 88.63, 90.00, 90.00 degrees
Element x y z (fractional)
O: 0.2347 0.1394 0.0985
O: 0.7560 0.2279 0.1015
Zn: 0.7554 0.1315 0.7470
O: 0.2434 0.7641 0.6057
O: 0.2560 0.7721 0.8985
O: 0.9896 0.2940 0.8644
Mn: 0.2529 0.4943 0.0199
Mn: 0.0026 0.0037 0.4875
O: 0.7660 0.8536 0.5969
Zn: 0.2554 0.8685 0.2530
O: 0.2660 0.1464 0.4031
Zn: 0.7488 0.4936 0.2461
O: 0.0133 0.7124 0.3662
O: 0.5056 0.6720 0.4096
Mn: 0.7529 0.5057 0.9801
Zn: 0.2488 0.5064 0.7539
O: 0.5133 0.2876 0.6338
O: 0.0056 0.3280 0.5904
O: 0.4896 0.7060 0.1356
Mn: 0.4966 0.0036 0.0112
O: 0.7347 0.8606 0.9015
O: 0.9873 0.6627 0.0910
O: 0.7434 0.2359 0.3943
Mn: 0.5026 0.9963 0.5125
Mn: 0.9966 0.9964 0.9888
O: 0.4873 0.3373 0.9090
Mn: 0.7471 0.5069 0.5147
Mn: 0.2471 0.4931 0.4853

Summary:
- relative energy among the computed polymorphs (eV/atom) = 0.1701
- symmetry = P2_1, No. 4
- calculated total energy (eV per atom) = -6.57
- total magnetization (μB/f.u.) = 8.0